Entry 1:
Entry from the Materials Project database: a relaxed Cr4Si4O13 crystal (PBE+U).

Results
- Energy of formation: -2.727 eV/atom
- Uncorrected energy: -7.856 eV per atom
- Magnetization: 14.000 μB/f.u.

a b c (Å): 6.9788 7.7787 9.9528
angles (deg): 67.50 82.62 79.43
Element x y z (fractional)
Cr  0.0623  0.0487  0.1281
Cr  0.0718  0.6979  0.4926
Cr  0.4254  0.3069  0.5087
Cr  0.4377  0.9409  0.8799
Cr  0.5623  0.0591  0.1201
Cr  0.5746  0.6931  0.4913
Cr  0.9282  0.3021  0.5074
Cr  0.9377  0.9513  0.8719
Si  0.1307  0.3527  0.7890
Si  0.2167  0.3555  0.2185
Si  0.2376  0.9203  0.6669
Si  0.4277  0.6655  0.2015
Si  0.5723  0.3345  0.7985
Si  0.7624  0.0797  0.3331
Si  0.7833  0.6445  0.7815
Si  0.8693  0.6473  0.2110
O  0.0073  0.5386  0.8098
O  0.0098  0.0359  0.6496
O  0.0516  0.1572  0.8975
O  0.1452  0.3967  0.6109
O  0.2142  0.8205  0.8489
O  0.2428  0.2680  0.3934
O  0.2508  0.2056  0.1403
O  0.3029  0.7779  0.5776
O  0.3428  0.3359  0.8415
O  0.3433  0.8880  0.1073
O  0.3563  0.5208  0.1447
O  0.3978  0.6020  0.3799
O  0.4093  0.0502  0.6531
O  0.5907  0.9498  0.3469
O  0.6022  0.3980  0.6201
O  0.6437  0.4792  0.8553
O  0.6567  0.1120  0.8927
O  0.6572  0.6641  0.1585
O  0.6971  0.2221  0.4224
O  0.7492  0.7944  0.8597
O  0.7572  0.7320  0.6066
O  0.7858  0.1795  0.1511
O  0.8548  0.6033  0.3891
O  0.9484  0.8428  0.1025
O  0.9902  0.9641  0.3504
O  0.9927  0.4614  0.1902

Entry 2:
Entry from the Materials Project database: a relaxed Cr2Si3O12 crystal (PBE+U).

Results
- Energy of formation: -2.074 eV/atom
- Uncorrected energy: -6.940 eV per atom
- Magnetization: 0.000 μB/f.u.

a b c (Å): 10.0566 10.0566 10.0566
angles (deg): 109.47 109.47 109.47
Element x y z (fractional)
Cr  0.0000  0.0000  0.0000
Cr  0.0000  0.0000  0.5000
Cr  0.0000  0.5000  0.0000
Cr  0.0000  0.5000  0.5000
Cr  0.5000  0.0000  0.0000
Cr  0.5000  0.0000  0.5000
Cr  0.5000  0.5000  0.0000
Cr  0.5000  0.5000  0.5000
Si  0.1250  0.7500  0.8750
Si  0.1250  0.8750  0.2500
Si  0.2500  0.1250  0.8750
Si  0.2500  0.6250  0.3750
Si  0.3750  0.2500  0.6250
Si  0.3750  0.6250  0.7500
Si  0.6250  0.3750  0.2500
Si  0.6250  0.7500  0.3750
Si  0.7500  0.3750  0.6250
Si  0.7500  0.8750  0.1250
Si  0.8750  0.1250  0.7500
Si  0.8750  0.2500  0.1250
O  0.0067  0.1927  0.1077
O  0.0067  0.3140  0.8990
O  0.0850  0.6927  0.6860
O  0.0850  0.8923  0.3990
O  0.1010  0.6077  0.4150
O  0.1010  0.9933  0.6860
O  0.1077  0.0067  0.1927
O  0.1077  0.6010  0.9150
O  0.1860  0.1927  0.5850
O  0.1860  0.4933  0.6010
O  0.1927  0.1077  0.0067
O  0.1927  0.5850  0.1860
O  0.3073  0.3140  0.9150
O  0.3073  0.4933  0.3923
O  0.3140  0.8990  0.0067
O  0.3140  0.9150  0.3073
O  0.3923  0.3073  0.4933
O  0.3923  0.5850  0.8990
O  0.3990  0.0850  0.8923
O  0.3990  0.8140  0.5067
O  0.4150  0.1010  0.6077
O  0.4150  0.8140  0.8073
O  0.4933  0.3923  0.3073
O  0.4933  0.6010  0.1860
O  0.5067  0.3990  0.8140
O  0.5067  0.6077  0.6927
O  0.5850  0.1860  0.1927
O  0.5850  0.8990  0.3923
O  0.6010  0.1860  0.4933
O  0.6010  0.9150  0.1077
O  0.6077  0.4150  0.1010
O  0.6077  0.6927  0.5067
O  0.6860  0.0850  0.6927
O  0.6860  0.1010  0.9933
O  0.6927  0.5067  0.6077
O  0.6927  0.6860  0.0850
O  0.8073  0.4150  0.8140
O  0.8073  0.8923  0.9933
O  0.8140  0.5067  0.3990
O  0.8140  0.8073  0.4150
O  0.8923  0.3990  0.0850
O  0.8923  0.9933  0.8073
O  0.8990  0.0067  0.3140
O  0.8990  0.3923  0.5850
O  0.9150  0.1077  0.6010
O  0.9150  0.3073  0.3140
O  0.9933  0.6860  0.1010
O  0.9933  0.8073  0.8923

Entry 3:
Entry from the Materials Project database: a relaxed CrSi4O10 crystal (PBE+U).

Results
- Energy of formation: -2.931 eV/atom
- Uncorrected energy: -7.728 eV per atom
- Magnetization: 1.999 μB/f.u.
- Relative energy among the computed polymorphs: 0.00 eV per formula unit

a b c (Å): 7.1606 7.9791 9.5601
angles (deg): 105.05 101.66 112.90
Element x y z (fractional)
Cr  0.2402  0.1780  0.0827
Cr  0.7598  0.8220  0.9173
Si  0.1192  0.8782  0.2550
Si  0.2730  0.5864  0.2866
Si  0.2979  0.1264  0.7459
Si  0.4244  0.8016  0.6316
Si  0.5756  0.1984  0.3684
Si  0.7021  0.8736  0.2541
Si  0.7270  0.4136  0.7134
Si  0.8808  0.1218  0.7450
O  0.0695  0.1239  0.6747
O  0.0798  0.9392  0.1004
O  0.1114  0.6640  0.2106
O  0.1666  0.3541  0.1811
O  0.2768  0.9099  0.6673
O  0.2889  0.6179  0.4655
O  0.3540  0.0409  0.3816
O  0.3549  0.1852  0.9329
O  0.4873  0.2949  0.7191
O  0.4966  0.7342  0.7698
O  0.5034  0.2658  0.2302
O  0.5127  0.7051  0.2809
O  0.6451  0.8148  0.0671
O  0.6460  0.9591  0.6184
O  0.7111  0.3821  0.5345
O  0.7232  0.0901  0.3327
O  0.8334  0.6459  0.8189
O  0.8886  0.3360  0.7894
O  0.9202  0.0608  0.8996
O  0.9305  0.8761  0.3253

> Which of these has the highest energy of formation?

Cr2Si3O12